(1)
The following is a DFT calculation (PBE-GGA) of an optimized crystal structure of MgTi3Nb3O12.

```
MgTi3Nb3O12
1.0
0.201 1.029 7.616
-0.963 -4.970 3.023
5.053 -1.496 2.144
Mg O Nb Ti
1 12 3 3
Cartesian
3.252 -1.583 4.419 Mg
2.988 -4.827 4.153 O
3.212 -0.494 6.332 O
1.170 -0.376 8.463 O
3.911 -5.514 7.033 O
3.145 -2.418 2.565 O
1.693 -2.473 5.124 O
1.098 -5.130 6.448 O
4.543 -2.818 5.547 O
-0.192 -2.410 7.158 O
0.915 -2.757 10.233 O
0.504 0.037 5.946 O
2.535 -2.901 7.867 O
2.802 -4.012 6.044 Nb
2.915 -3.525 9.810 Nb
-0.770 -4.371 7.189 Nb
1.224 -1.952 2.561 Ti
4.093 -6.236 5.159 Ti
1.524 -1.615 6.841 Ti
```

ρ in g/cm³: 4.85
DFT formation energy in eV per atom: -3.044
SG: No. 1
Final energy in eV per cell: -164.6
Excess energy over the best structure of this formula in the dataset in meV/atom: 5



(2)
The following is a DFT calculation (PBE-GGA) of an optimized crystal structure of Mg14TiNbO16.

```
Mg14TiNbO16
1.0
-5.295 4.920 -4.792
-6.811 -3.588 3.842
0.098 3.044 3.017
Mg O Ti Nb
14 16 1 1
Cartesian
-1.643 0.631 2.463 Mg
-6.053 0.666 -0.475 Mg
-5.659 2.783 -2.623 Mg
-2.648 2.460 -2.396 Mg
-6.447 -1.450 1.673 Mg
-3.037 0.346 -0.251 Mg
-7.706 1.292 1.994 Mg
-1.287 2.764 0.299 Mg
-4.302 3.085 0.074 Mg
-7.307 3.399 -0.145 Mg
-9.069 0.986 -0.699 Mg
-4.701 0.978 2.213 Mg
-5.070 -1.175 4.396 Mg
-3.910 5.201 -2.074 Mg
-6.004 2.188 1.034 O
-9.039 2.531 0.787 O
-4.344 1.566 -1.439 O
-1.358 1.262 -1.229 O
-2.969 1.846 1.281 O
0.049 1.522 1.509 O
-3.937 3.658 -3.563 O
-5.636 4.324 -1.133 O
-7.306 1.830 -1.609 O
-7.762 -0.234 0.489 O
-4.800 -0.498 0.659 O
-5.157 -2.717 2.909 O
-3.356 -0.272 3.430 O
-6.372 0.053 3.200 O
-2.599 3.982 -0.887 O
-1.653 -0.871 0.933 O
0.000 0.000 0.000 Ti
-3.405 -1.794 1.921 Nb
```

ρ in g/cm³: 3.83
DFT formation energy in eV per atom: -2.848
SG: No. 47
Final energy in eV per cell: -199.7
Excess energy over the best structure of this formula in the dataset in meV/atom: 0



(3)
The following is a DFT calculation (PBE-GGA) of an optimized crystal structure of Y2MgNb2O8.

```
Y2MgNb2O8
1.0
-4.582 -2.567 0.189
3.193 -3.595 -2.268
2.430 0.470 7.622
Y O Mg Nb
2 8 1 2
Cartesian
0.674 -1.316 6.151 Y
0.440 -4.486 -0.329 Y
0.404 -2.648 4.388 O
-1.781 -3.919 -0.445 O
-0.929 -0.860 0.544 O
2.869 -1.830 6.133 O
3.575 -2.736 3.517 O
1.999 -4.892 5.147 O
1.160 -3.128 1.259 O
-2.940 -3.051 2.370 O
1.732 -2.304 2.975 Mg
1.056 -1.287 0.411 Nb
-0.003 -4.425 5.181 Nb
```

ρ in g/cm³: 4.30
DFT formation energy in eV per atom: -3.200
SG: No. 5
Final energy in eV per cell: -110.4